[1]
Dy2InAg: optimized geometry, PBE.

Computed properties:
Electronic total energy: -0.151 hartree per atom
Space-group type: Fm-3m, No. 225

a = 5.2584 Å, b = 5.2584 Å, c = 5.2584 Å
α = 60.00°, β = 60.00°, γ = 60.00°
Closest atoms and distances in Å follow each position.
Atoms (fractional coordinates):
Dy 0.2500 0.2500 0.2500  4 In 3.22, 4 Ag 3.22
Dy 0.7500 0.7500 0.7500  4 In 3.22, 4 Ag 3.22
In 0.5000 0.5000 0.5000  8 Dy 3.22
Ag 0.0000 0.0000 0.0000  8 Dy 3.22

[2]
Dy2InAg: optimized geometry, PBE.

Computed properties:
Electronic total energy: -0.150 hartree per atom
Space-group type: P4/mmm, No. 123

a = 3.7054 Å, b = 3.7054 Å, c = 7.4684 Å
α = 90.00°, β = 90.00°, γ = 90.00°
Closest atoms and distances in Å follow each position.
Atoms (fractional coordinates):
Dy 0.0000 0.0000 0.7640  4 Ag 3.16, 4 In 3.28, 1 Dy 3.53
Dy 0.0000 0.0000 0.2360  4 Ag 3.16, 4 In 3.28, 1 Dy 3.53
In 0.5000 0.5000 0.5000  8 Dy 3.28
Ag 0.5000 0.5000 0.0000  8 Dy 3.16

[3]
DyLuAg2: optimized geometry, PBE.

Computed properties:
Electronic total energy: -0.148 hartree per atom
Space-group type: Fm-3m, No. 225

a = 5.1034 Å, b = 5.1034 Å, c = 5.1034 Å
α = 60.00°, β = 60.00°, γ = 60.00°
Closest atoms and distances in Å follow each position.
Atoms (fractional coordinates):
Dy 0.5000 0.5000 0.5000  8 Ag 3.13
Lu 0.0000 0.0000 0.0000  8 Ag 3.13
Ag 0.2500 0.2500 0.2500  4 Dy 3.13, 4 Lu 3.13
Ag 0.7500 0.7500 0.7500  4 Dy 3.13, 4 Lu 3.13

[4]
DyMgAg2: optimized geometry, PBE.

Computed properties:
Electronic total energy: -0.121 hartree per atom
Space-group type: Fm-3m, No. 225

a = 4.9612 Å, b = 4.9612 Å, c = 4.9612 Å
α = 60.00°, β = 60.00°, γ = 60.00°
Closest atoms and distances in Å follow each position.
Atoms (fractional coordinates):
Dy 0.5000 0.5000 0.5000  8 Ag 3.04
Mg 0.0000 0.0000 0.0000  8 Ag 3.04
Ag 0.2500 0.2500 0.2500  4 Dy 3.04, 4 Mg 3.04
Ag 0.7500 0.7500 0.7500  4 Dy 3.04, 4 Mg 3.04

| no. | energy of formation (eV/atom) | density (g cm⁻³) |
| --- | --- | --- |
| 1 | -0.398 | 8.8 |
| 2 | -0.389 | 8.9 |
| 3 | -0.338 | 9.8 |
| 4 | -0.314 | 7.7 |